A plane-wave DFT calculation with PBE was carried out for an optimized crystal structure of NdNi2P2.

Cell: 5.5286 5.5286 5.5286 Å, 138.19 138.19 60.61°
With the nearest neighbours (Å) after each atom.
Fractional coordinates of all 5 atoms:
1 Nd 0.0000 0.0000 0.0000  8 P 3.04, 8 Ni 3.10
2 Ni 0.2500 0.7500 0.5000  4 P 2.29
3 Ni 0.7500 0.2500 0.5000  4 P 2.29
4 P 0.3726 0.3726 0.0000  4 Ni 2.29, 1 P 2.43
5 P 0.6274 0.6274 0.0000  4 Ni 2.29, 1 P 2.43

DFT total energy in eV/cell: -32.09